(1)
Here is CuSn3H27C9NCl after structural relaxation from the Materials Project database. Energies are from PBE.

Summary:
**Total moment**: 0.01 μB/f.u.
**ΔH_f (0 K)**: -0.1266 eV/atom

a = 16.3240 Å, b = 16.3240 Å, c = 16.3240 Å
α = 90.00°, β = 90.00°, γ = 90.00°
With the nearest neighbours (Å) after each atom.
Positions (direct):
Cu 0.2299 0.2299 0.2299  1 N 1.88
Cu 0.2312 0.2688 0.7312  1 N 1.88
Cu 0.2688 0.7312 0.2312  1 N 1.88
Cu 0.2701 0.7701 0.7299  1 N 1.88
Cu 0.7299 0.2701 0.7701  1 N 1.88
Cu 0.7312 0.2312 0.2688  1 N 1.88
Cu 0.7688 0.7688 0.7688  1 N 1.88
Cu 0.7701 0.7299 0.2701  1 N 1.88
Sn 0.0422 0.2186 0.1711  3 C 2.16-2.17, 1 N 2.18
Sn 0.0447 0.2775 0.6689  3 C 2.16-2.17, 1 N 2.17
Sn 0.1689 0.4553 0.7225  3 C 2.16-2.17, 1 N 2.17
Sn 0.1711 0.0422 0.2186  3 C 2.16-2.17, 1 N 2.18
Sn 0.2186 0.1711 0.0422  3 C 2.16-2.17, 1 N 2.18
Sn 0.2225 0.3311 0.5447  3 C 2.16-2.17, 1 N 2.17
Sn 0.2775 0.6689 0.0447  3 C 2.16-2.17, 1 N 2.17
Sn 0.2814 0.8289 0.5422  3 C 2.16-2.17, 1 N 2.18
Sn 0.3289 0.9578 0.7186  3 C 2.16-2.17, 1 N 2.18
Sn 0.3311 0.5447 0.2225  3 C 2.16-2.17, 1 N 2.17
Sn 0.4553 0.7225 0.1689  3 C 2.16-2.17, 1 N 2.17
Sn 0.4578 0.7814 0.6711  3 C 2.16-2.17, 1 N 2.18
Sn 0.5422 0.2814 0.8289  3 C 2.16-2.17, 1 N 2.18
Sn 0.5447 0.2225 0.3311  3 C 2.16-2.17, 1 N 2.17
Sn 0.6689 0.0447 0.2775  3 C 2.16-2.17, 1 N 2.17
Sn 0.6711 0.4578 0.7814  3 C 2.16-2.17, 1 N 2.18
Sn 0.7186 0.3289 0.9578  3 C 2.16-2.17, 1 N 2.18
Sn 0.7225 0.1689 0.4553  3 C 2.16-2.17, 1 N 2.17
Sn 0.7775 0.8311 0.9553  3 C 2.16-2.17, 1 N 2.17
Sn 0.7814 0.6711 0.4578  3 C 2.16-2.17, 1 N 2.18
Sn 0.8289 0.5422 0.2814  3 C 2.16-2.17, 1 N 2.18
Sn 0.8311 0.9553 0.7775  3 C 2.16-2.17, 1 N 2.17
Sn 0.9553 0.7775 0.8311  3 C 2.16-2.17, 1 N 2.17
Sn 0.9578 0.7186 0.3289  3 C 2.16-2.17, 1 N 2.18
H 0.0032 0.3795 0.1920  1 C 1.10
H 0.0082 0.6864 0.4867  1 C 1.10
H 0.0112 0.6214 0.2021  1 C 1.10
H 0.0133 0.9918 0.1864  1 C 1.10
H 0.0163 0.4485 0.7958  1 C 1.10
H 0.0208 0.9330 0.8388  1 C 1.10
H 0.0219 0.6537 0.9208  1 C 1.10
H 0.0264 0.5982 0.4244  1 C 1.09
H 0.0280 0.2156 0.3384  1 C 1.10
H 0.0328 0.7008 0.7047  1 C 1.10
H 0.0399 0.2720 0.8368  1 C 1.10
H 0.0484 0.3678 0.0931  1 C 1.10
H 0.0515 0.2042 0.5163  1 C 1.10
H 0.0531 0.8759 0.9261  1 C 1.10
H 0.0670 0.3388 0.4792  1 C 1.10
H 0.0714 0.7127 0.2082  1 C 1.10
H 0.0742 0.1757 0.7978  1 C 1.10
H 0.0739 0.5531 0.6241  1 C 1.10
H 0.0756 0.9736 0.0982  1 C 1.09
H 0.0792 0.5219 0.8463  1 C 1.10
H 0.0812 0.9060 0.1840  1 C 1.10
H 0.0845 0.1326 0.5926  1 C 1.10
H 0.0931 0.0484 0.3678  1 C 1.10
H 0.0926 0.4155 0.8674  1 C 1.10
H 0.0940 0.6840 0.4188  1 C 1.10
H 0.0982 0.0756 0.9736  1 C 1.09
H 0.1013 0.8592 0.8296  1 C 1.10
H 0.1121 0.3706 0.1824  1 C 1.10
H 0.1205 0.8080 0.5032  1 C 1.10
H 0.1214 0.2979 0.9888  1 C 1.10
H 0.1241 0.4261 0.4469  1 C 1.10
H 0.1294 0.8176 0.6121  1 C 1.10
H 0.1322 0.9069 0.5484  1 C 1.10
H 0.1326 0.5926 0.0845  1 C 1.10
H 0.1408 0.3296 0.3987  1 C 1.10
H 0.1537 0.5792 0.9781  1 C 1.10
H 0.1612 0.5208 0.5670  1 C 1.10
H 0.1616 0.9720 0.7156  1 C 1.10
H 0.1632 0.5399 0.2280  1 C 1.10
H 0.1704 0.6013 0.6408  1 C 1.10
H 0.1757 0.7978 0.0742  1 C 1.10
H 0.1824 0.1121 0.3706  1 C 1.10
H 0.1840 0.0812 0.9060  1 C 1.10
H 0.1864 0.0133 0.9918  1 C 1.10
H 0.1920 0.0032 0.3795  1 C 1.10
H 0.2008 0.7953 0.9672  1 C 1.10
H 0.2021 0.0112 0.6214  1 C 1.10
H 0.2022 0.5742 0.3243  1 C 1.10
H 0.2042 0.5163 0.0515  1 C 1.10
H 0.2047 0.4672 0.2992  1 C 1.10
H 0.2082 0.0714 0.7127  1 C 1.10
H 0.2127 0.2918 0.9286  1 C 1.10
H 0.2156 0.3384 0.0280  1 C 1.10
H 0.2280 0.1632 0.5399  1 C 1.10
H 0.2720 0.8368 0.0399  1 C 1.10
H 0.2844 0.6616 0.5280  1 C 1.10
H 0.2873 0.7082 0.4286  1 C 1.10
H 0.2918 0.9286 0.2127  1 C 1.10
H 0.2953 0.5328 0.7992  1 C 1.10
H 0.2958 0.4837 0.5515  1 C 1.10
H 0.2978 0.4258 0.8243  1 C 1.10
H 0.2979 0.9888 0.1214  1 C 1.10
H 0.2992 0.2047 0.4672  1 C 1.10
H 0.3080 0.9968 0.8795  1 C 1.10
H 0.3136 0.9867 0.4918  1 C 1.10
H 0.3160 0.9188 0.4060  1 C 1.10
H 0.3176 0.8879 0.8706  1 C 1.10
H 0.3243 0.2022 0.5742  1 C 1.10
H 0.3296 0.3987 0.1408  1 C 1.10
H 0.3368 0.4601 0.7280  1 C 1.10
H 0.3384 0.0280 0.2156  1 C 1.10
H 0.3388 0.4792 0.0670  1 C 1.10
H 0.3463 0.4208 0.4781  1 C 1.10
H 0.3592 0.6704 0.8987  1 C 1.10
H 0.3674 0.4074 0.5845  1 C 1.10
H 0.3678 0.0931 0.0484  1 C 1.10
H 0.3706 0.1824 0.1121  1 C 1.10
H 0.3759 0.5739 0.9469  1 C 1.10
H 0.3786 0.7021 0.4888  1 C 1.10
H 0.3795 0.1920 0.0032  1 C 1.10
H 0.3879 0.6294 0.6824  1 C 1.10
H 0.3987 0.1408 0.3296  1 C 1.10
H 0.4018 0.9244 0.4736  1 C 1.09
H 0.4060 0.3160 0.9188  1 C 1.10
H 0.4074 0.5845 0.3674  1 C 1.10
H 0.4069 0.9516 0.8678  1 C 1.10
H 0.4155 0.8674 0.0926  1 C 1.10
H 0.4188 0.0940 0.6840  1 C 1.10
H 0.4208 0.4781 0.3463  1 C 1.10
H 0.4244 0.0264 0.5982  1 C 1.09
H 0.4261 0.4469 0.1241  1 C 1.10
H 0.4258 0.8243 0.2978  1 C 1.10
H 0.4286 0.2873 0.7082  1 C 1.10
H 0.4330 0.6612 0.9792  1 C 1.10
H 0.4469 0.1241 0.4261  1 C 1.10
H 0.4485 0.7958 0.0163  1 C 1.10
H 0.4516 0.6322 0.5931  1 C 1.10
H 0.4601 0.7280 0.3368  1 C 1.10
H 0.4672 0.2992 0.2047  1 C 1.10
H 0.4720 0.7844 0.8384  1 C 1.10
H 0.4736 0.4018 0.9244  1 C 1.09
H 0.4781 0.3463 0.4208  1 C 1.10
H 0.4792 0.0670 0.3388  1 C 1.10
H 0.4837 0.5515 0.2958  1 C 1.10
H 0.4867 0.0082 0.6864  1 C 1.10
H 0.4888 0.3786 0.7021  1 C 1.10
H 0.4918 0.3136 0.9867  1 C 1.10
H 0.4968 0.6205 0.6920  1 C 1.10
H 0.5032 0.1205 0.8080  1 C 1.10
H 0.5082 0.8136 0.5133  1 C 1.10
H 0.5112 0.8786 0.7979  1 C 1.10
H 0.5133 0.5082 0.8136  1 C 1.10
H 0.5163 0.0515 0.2042  1 C 1.10
H 0.5208 0.5670 0.1612  1 C 1.10
H 0.5219 0.8463 0.0792  1 C 1.10
H 0.5264 0.9018 0.5756  1 C 1.09
H 0.5280 0.2844 0.6616  1 C 1.10
H 0.5328 0.7992 0.2953  1 C 1.10
H 0.5399 0.2280 0.1632  1 C 1.10
H 0.5484 0.1322 0.9069  1 C 1.10
H 0.5515 0.2958 0.4837  1 C 1.10
H 0.5531 0.6241 0.0739  1 C 1.10
H 0.5670 0.1612 0.5208  1 C 1.10
H 0.5714 0.7873 0.7918  1 C 1.10
H 0.5742 0.3243 0.2022  1 C 1.10
H 0.5739 0.9469 0.3759  1 C 1.10
H 0.5756 0.5264 0.9018  1 C 1.09
H 0.5792 0.9781 0.1537  1 C 1.10
H 0.5812 0.5940 0.8160  1 C 1.10
H 0.5845 0.3674 0.4074  1 C 1.10
H 0.5926 0.0845 0.1326  1 C 1.10
H 0.5931 0.4516 0.6322  1 C 1.10
H 0.5940 0.8160 0.5812  1 C 1.10
H 0.5982 0.4244 0.0264  1 C 1.09
H 0.6013 0.6408 0.1704  1 C 1.10
H 0.6121 0.1294 0.8176  1 C 1.10
H 0.6205 0.6920 0.4968  1 C 1.10
H 0.6214 0.2021 0.0112  1 C 1.10
H 0.6241 0.0739 0.5531  1 C 1.10
H 0.6294 0.6824 0.3879  1 C 1.10
H 0.6322 0.5931 0.4516  1 C 1.10
H 0.6326 0.9074 0.9155  1 C 1.10
H 0.6408 0.1704 0.6013  1 C 1.10
H 0.6537 0.9208 0.0219  1 C 1.10
H 0.6612 0.9792 0.4330  1 C 1.10
H 0.6616 0.5280 0.2844  1 C 1.10
H 0.6632 0.9601 0.7720  1 C 1.10
H 0.6704 0.8987 0.3592  1 C 1.10
H 0.6757 0.7022 0.9258  1 C 1.10
H 0.6824 0.3879 0.6294  1 C 1.10
H 0.6840 0.4188 0.0940  1 C 1.10
H 0.6864 0.4867 0.0082  1 C 1.10
H 0.6920 0.4968 0.6205  1 C 1.10
H 0.7008 0.7047 0.0328  1 C 1.10
H 0.7021 0.4888 0.3786  1 C 1.10
H 0.7022 0.9258 0.6757  1 C 1.10
H 0.7042 0.9837 0.9485  1 C 1.10
H 0.7047 0.0328 0.7008  1 C 1.10
H 0.7082 0.4286 0.2873  1 C 1.10
H 0.7127 0.2082 0.0714  1 C 1.10
H 0.7156 0.1616 0.9720  1 C 1.10
H 0.7280 0.3368 0.4601  1 C 1.10
H 0.7720 0.6632 0.9601  1 C 1.10
H 0.7844 0.8384 0.4720  1 C 1.10
H 0.7873 0.7918 0.5714  1 C 1.10
H 0.7918 0.5714 0.7873  1 C 1.10
H 0.7953 0.9672 0.2008  1 C 1.10
H 0.7958 0.0163 0.4485  1 C 1.10
H 0.7978 0.0742 0.1757  1 C 1.10
H 0.7979 0.5112 0.8786  1 C 1.10
H 0.7992 0.2953 0.5328  1 C 1.10
H 0.8080 0.5032 0.1205  1 C 1.10
H 0.8136 0.5133 0.5082  1 C 1.10
H 0.8160 0.5812 0.5940  1 C 1.10
H 0.8176 0.6121 0.1294  1 C 1.10
H 0.8243 0.2978 0.4258  1 C 1.10
H 0.8296 0.1013 0.8592  1 C 1.10
H 0.8368 0.0399 0.2720  1 C 1.10
H 0.8384 0.4720 0.7844  1 C 1.10
H 0.8388 0.0208 0.9330  1 C 1.10
H 0.8463 0.0792 0.5219  1 C 1.10
H 0.8592 0.8296 0.1013  1 C 1.10
H 0.8674 0.0926 0.4155  1 C 1.10
H 0.8678 0.4069 0.9516  1 C 1.10
H 0.8706 0.3176 0.8879  1 C 1.10
H 0.8759 0.9261 0.0531  1 C 1.10
H 0.8786 0.7979 0.5112  1 C 1.10
H 0.8795 0.3080 0.9968  1 C 1.10
H 0.8879 0.8706 0.3176  1 C 1.10
H 0.8987 0.3592 0.6704  1 C 1.10
H 0.9018 0.5756 0.5264  1 C 1.09
H 0.9060 0.1840 0.0812  1 C 1.10
H 0.9069 0.5484 0.1322  1 C 1.10
H 0.9074 0.9155 0.6326  1 C 1.10
H 0.9155 0.6326 0.9074  1 C 1.10
H 0.9188 0.4060 0.3160  1 C 1.10
H 0.9208 0.0219 0.6537  1 C 1.10
H 0.9244 0.4736 0.4018  1 C 1.09
H 0.9261 0.0531 0.8759  1 C 1.10
H 0.9258 0.6757 0.7022  1 C 1.10
H 0.9286 0.2127 0.2918  1 C 1.10
H 0.9330 0.8388 0.0208  1 C 1.10
H 0.9469 0.3759 0.5739  1 C 1.10
H 0.9485 0.7042 0.9837  1 C 1.10
H 0.9516 0.8678 0.4069  1 C 1.10
H 0.9601 0.7720 0.6632  1 C 1.10
H 0.9672 0.2008 0.7953  1 C 1.10
H 0.9720 0.7156 0.1616  1 C 1.10
H 0.9736 0.0982 0.0756  1 C 1.09
H 0.9781 0.1537 0.5792  1 C 1.10
H 0.9792 0.4330 0.6612  1 C 1.10
H 0.9837 0.9485 0.7042  1 C 1.10
H 0.9867 0.4918 0.3136  1 C 1.10
H 0.9888 0.1214 0.2979  1 C 1.10
H 0.9918 0.1864 0.0133  1 C 1.10
H 0.9968 0.8795 0.3080  1 C 1.10
C 0.0090 0.6880 0.2105  3 H 1.10
C 0.0296 0.2251 0.7897  3 H 1.10
C 0.0300 0.6651 0.4268  3 H 1.09-1.10
C 0.0397 0.1806 0.5780  3 H 1.10
C 0.0430 0.8732 0.8598  3 H 1.10
C 0.0530 0.3503 0.1578  3 H 1.10
C 0.0732 0.9700 0.1651  3 H 1.09-1.10
C 0.0780 0.4603 0.8194  3 H 1.10
C 0.1268 0.3598 0.4570  3 H 1.10
C 0.1402 0.5430 0.6268  3 H 1.10
C 0.1497 0.8422 0.5530  3 H 1.10
C 0.1578 0.0530 0.3503  3 H 1.10
C 0.1651 0.0732 0.9700  3 H 1.09-1.10
C 0.1806 0.5780 0.0397  3 H 1.10
C 0.1880 0.2895 0.9910  3 H 1.10
C 0.2105 0.0090 0.6880  3 H 1.10
C 0.2103 0.5296 0.2749  3 H 1.10
C 0.2251 0.7897 0.0296  3 H 1.10
C 0.2749 0.2103 0.5296  3 H 1.10
C 0.2897 0.4704 0.7749  3 H 1.10
C 0.2895 0.9910 0.1880  3 H 1.10
C 0.3120 0.7105 0.4910  3 H 1.10
C 0.3194 0.4220 0.5397  3 H 1.10
C 0.3349 0.9268 0.4700  3 H 1.09-1.10
C 0.3422 0.9470 0.8503  3 H 1.10
C 0.3503 0.1578 0.0530  3 H 1.10
C 0.3598 0.4570 0.1268  3 H 1.10
C 0.3732 0.6402 0.9570  3 H 1.10
C 0.4220 0.5397 0.3194  3 H 1.10
C 0.4268 0.0300 0.6651  3 H 1.09-1.10
C 0.4470 0.6497 0.6578  3 H 1.10
C 0.4570 0.1268 0.3598  3 H 1.10
C 0.4603 0.8194 0.0780  3 H 1.10
C 0.4700 0.3349 0.9268  3 H 1.09-1.10
C 0.4704 0.7749 0.2897  3 H 1.10
C 0.4910 0.3120 0.7105  3 H 1.10
C 0.5090 0.8120 0.7895  3 H 1.10
C 0.5296 0.2749 0.2103  3 H 1.10
C 0.5300 0.8349 0.5732  3 H 1.09-1.10
C 0.5397 0.3194 0.4220  3 H 1.10
C 0.5430 0.6268 0.1402  3 H 1.10
C 0.5530 0.1497 0.8422  3 H 1.10
C 0.5732 0.5300 0.8349  3 H 1.09-1.10
C 0.5780 0.0397 0.1806  3 H 1.10
C 0.6268 0.1402 0.5430  3 H 1.10
C 0.6402 0.9570 0.3732  3 H 1.10
C 0.6497 0.6578 0.4470  3 H 1.10
C 0.6578 0.4470 0.6497  3 H 1.10
C 0.6651 0.4268 0.0300  3 H 1.09-1.10
C 0.6806 0.9220 0.9603  3 H 1.10
C 0.6880 0.2105 0.0090  3 H 1.10
C 0.7105 0.4910 0.3120  3 H 1.10
C 0.7103 0.9704 0.7251  3 H 1.10
C 0.7251 0.7103 0.9704  3 H 1.10
C 0.7749 0.2897 0.4704  3 H 1.10
C 0.7897 0.0296 0.2251  3 H 1.10
C 0.7895 0.5090 0.8120  3 H 1.10
C 0.8120 0.7895 0.5090  3 H 1.10
C 0.8194 0.0780 0.4603  3 H 1.10
C 0.8349 0.5732 0.5300  3 H 1.09-1.10
C 0.8422 0.5530 0.1497  3 H 1.10
C 0.8503 0.3422 0.9470  3 H 1.10
C 0.8598 0.0430 0.8732  3 H 1.10
C 0.8732 0.8598 0.0430  3 H 1.10
C 0.9220 0.9603 0.6806  3 H 1.10
C 0.9268 0.4700 0.3349  3 H 1.09-1.10
C 0.9470 0.8503 0.3422  3 H 1.10
C 0.9570 0.3732 0.6402  3 H 1.10
C 0.9603 0.6806 0.9220  3 H 1.10
C 0.9700 0.1651 0.0732  3 H 1.09-1.10
C 0.9704 0.7251 0.7103  3 H 1.10
C 0.9910 0.1880 0.2895  3 H 1.10
N 0.1635 0.1635 0.1635  1 Cu 1.88
N 0.1647 0.3353 0.6647  1 Cu 1.88
N 0.3353 0.6647 0.1647  1 Cu 1.88
N 0.3365 0.8365 0.6635  1 Cu 1.88
N 0.6635 0.3365 0.8365  1 Cu 1.88
N 0.6647 0.1647 0.3353  1 Cu 1.88
N 0.8353 0.8353 0.8353  1 Cu 1.88
N 0.8365 0.6635 0.3365  1 Cu 1.88
Cl 0.1943 0.8057 0.3057  1 Cu 2.11
Cl 0.1956 0.6956 0.8044  1 Cu 2.11
Cl 0.3044 0.3044 0.3044  1 Cu 2.11
Cl 0.3057 0.1943 0.8057  1 Cu 2.11
Cl 0.6943 0.6943 0.6943  1 Cu 2.11
Cl 0.6956 0.8044 0.1956  1 Cu 2.11
Cl 0.8044 0.1956 0.6956  1 Cu 2.11
Cl 0.8057 0.3057 0.1943  1 Cu 2.11

(2)
Here is CuH4C3ClO2 after structural relaxation from the Materials Project database. Energies are from PBE.

Summary:
**Total moment**: 0.00 μB/f.u.
**ΔH_f (0 K)**: -0.6171 eV/atom

a = 6.3603 Å, b = 20.7331 Å, c = 8.8004 Å
α = 90.00°, β = 90.00°, γ = 90.00°
With the nearest neighbours (Å) after each atom.
Positions (direct):
Cu 0.1284 0.1784 0.1549  2 C 2.02-2.04, 1 Cl 2.24
Cu 0.1284 0.3216 0.6549  2 C 2.02-2.04, 1 Cl 2.24
Cu 0.3716 0.6784 0.1549  2 C 2.02-2.04, 1 Cl 2.24
Cu 0.3716 0.8216 0.6549  2 C 2.02-2.04, 1 Cl 2.24
Cu 0.6284 0.1784 0.3451  2 C 2.02-2.04, 1 Cl 2.24
Cu 0.6284 0.3216 0.8451  2 C 2.02-2.04, 1 Cl 2.24
Cu 0.8716 0.6784 0.3451  2 C 2.02-2.04, 1 Cl 2.24
Cu 0.8716 0.8216 0.8451  2 C 2.02-2.04, 1 Cl 2.24
H 0.0915 0.5741 0.3770  1 C 1.09
H 0.0915 0.9259 0.8770  1 C 1.09
H 0.1085 0.0077 0.6034  1 O 1.03
H 0.1085 0.4923 0.1034  1 O 1.03
H 0.1571 0.1494 0.8755  1 C 1.09
H 0.1571 0.3506 0.3755  1 C 1.09
H 0.1913 0.6422 0.4943  1 C 1.09
H 0.1913 0.8578 0.9943  1 C 1.09
H 0.3087 0.1422 0.4943  1 C 1.09
H 0.3087 0.3578 0.9943  1 C 1.09
H 0.3429 0.6494 0.8755  1 C 1.09
H 0.3429 0.8506 0.3755  1 C 1.09
H 0.3915 0.5077 0.6034  1 O 1.03
H 0.3915 0.9923 0.1034  1 O 1.03
H 0.4085 0.0741 0.3770  1 C 1.09
H 0.4085 0.4259 0.8770  1 C 1.09
H 0.5915 0.5741 0.1230  1 C 1.09
H 0.5915 0.9259 0.6230  1 C 1.09
H 0.6085 0.0077 0.8966  1 O 1.03
H 0.6085 0.4923 0.3966  1 O 1.03
H 0.6571 0.1494 0.6245  1 C 1.09
H 0.6571 0.3506 0.1245  1 C 1.09
H 0.6913 0.6422 0.0057  1 C 1.09
H 0.6913 0.8578 0.5057  1 C 1.09
H 0.8087 0.1422 0.0057  1 C 1.09
H 0.8087 0.3578 0.5057  1 C 1.09
H 0.8429 0.6494 0.6245  1 C 1.09
H 0.8429 0.8506 0.1245  1 C 1.09
H 0.8915 0.5077 0.8966  1 O 1.03
H 0.8915 0.9923 0.3966  1 O 1.03
H 0.9085 0.0741 0.1230  1 C 1.09
H 0.9085 0.4259 0.6230  1 C 1.09
C 0.0575 0.6143 0.4531  2 H 1.09
C 0.0575 0.8857 0.9531  2 H 1.09
C 0.1355 0.1178 0.9732  1 H 1.09
C 0.1355 0.3822 0.4732  1 H 1.09
C 0.1989 0.5680 0.9895  2 O 1.25-1.33
C 0.1989 0.9320 0.4895  2 O 1.25-1.33
C 0.3011 0.0680 0.9895  2 O 1.25-1.33
C 0.3011 0.4320 0.4895  2 O 1.25-1.33
C 0.3645 0.6178 0.9732  1 H 1.09
C 0.3645 0.8822 0.4732  1 H 1.09
C 0.4425 0.1143 0.4531  2 H 1.09
C 0.4425 0.3857 0.9531  2 H 1.09
C 0.5575 0.6143 0.0469  2 H 1.09
C 0.5575 0.8857 0.5469  2 H 1.09
C 0.6355 0.1178 0.5268  1 H 1.09
C 0.6355 0.3822 0.0268  1 H 1.09
C 0.6989 0.5680 0.5105  2 O 1.25-1.33
C 0.6989 0.9320 0.0105  2 O 1.25-1.33
C 0.8011 0.0680 0.5105  2 O 1.25-1.33
C 0.8011 0.4320 0.0105  2 O 1.25-1.33
C 0.8645 0.6178 0.5268  1 H 1.09
C 0.8645 0.8822 0.0268  1 H 1.09
C 0.9425 0.1143 0.0469  2 H 1.09
C 0.9425 0.3857 0.5469  2 H 1.09
Cl 0.0476 0.7240 0.1527  2 Cu 2.24-2.27
Cl 0.0476 0.7760 0.6527  2 Cu 2.24-2.27
Cl 0.4524 0.2240 0.1527  2 Cu 2.24-2.27
Cl 0.4524 0.2760 0.6527  2 Cu 2.24-2.27
Cl 0.5476 0.7240 0.3473  2 Cu 2.24-2.27
Cl 0.5476 0.7760 0.8473  2 Cu 2.24-2.27
Cl 0.9524 0.2240 0.3473  2 Cu 2.24-2.27
Cl 0.9524 0.2760 0.8473  2 Cu 2.24-2.27
O 0.0531 0.5644 0.8954  1 C 1.25
O 0.0531 0.9356 0.3954  1 C 1.25
O 0.2211 0.5282 0.1065  1 H 1.03
O 0.2211 0.9718 0.6065  1 H 1.03
O 0.2789 0.0282 0.1065  1 H 1.03
O 0.2789 0.4718 0.6065  1 H 1.03
O 0.4469 0.0644 0.8954  1 C 1.25
O 0.4469 0.4356 0.3954  1 C 1.25
O 0.5531 0.5644 0.6046  1 C 1.25
O 0.5531 0.9356 0.1046  1 C 1.25
O 0.7211 0.5282 0.3935  1 H 1.03
O 0.7211 0.9718 0.8935  1 H 1.03
O 0.7789 0.0282 0.3935  1 H 1.03
O 0.7789 0.4718 0.8935  1 H 1.03
O 0.9469 0.0644 0.6046  1 C 1.25
O 0.9469 0.4356 0.1046  1 C 1.25

Values for corrected total energy (MP2020 scheme), eV per cell, ordered as above
-1650.3; -511.1